Model i:
! MgCu6S6 PBE optimized geometry; values from VASP
&SYSTEM
  ibrav = 0, nat = 13, ntyp = 3
/
ATOMIC_SPECIES
Mg 24.30 Mg.upf
Cu 63.55 Cu.upf
S 32.06 S.upf
ATOMIC_POSITIONS crystal
Mg 0.000 0.000 0.000
Cu 0.021 0.022 0.591
Cu 0.029 0.029 0.850
Cu 0.039 0.064 0.251
Cu 0.323 0.629 0.739
Cu 0.337 0.667 0.137
Cu 0.340 0.669 0.395
S 0.372 0.729 0.266
S 0.661 0.325 0.086
S 0.676 0.338 0.434
S 0.685 0.352 0.552
S 0.700 0.367 0.901
S 0.990 0.964 0.719
CELL_PARAMETERS angstrom
3.744 0.000 0.000
-1.871 3.265 0.000
-0.164 -0.312 17.997
! Space-group type: No. 1

Model ii:
! MgCu6S6 PBE optimized geometry; values from VASP
&SYSTEM
  ibrav = 0, nat = 13, ntyp = 3
/
ATOMIC_SPECIES
Mg 24.30 Mg.upf
Cu 63.55 Cu.upf
S 32.06 S.upf
ATOMIC_POSITIONS crystal
Mg 0.000 0.000 0.000
Cu 0.333 0.667 0.204
Cu 0.333 0.667 0.553
Cu 0.333 0.667 0.869
Cu 0.667 0.333 0.123
Cu 0.667 0.333 0.393
Cu 0.667 0.333 0.645
S 0.000 0.000 0.238
S 0.000 0.000 0.356
S 0.000 0.000 0.679
S 0.000 0.000 0.874
S 0.333 0.667 0.068
S 0.667 0.333 0.513
CELL_PARAMETERS angstrom
3.780 0.000 0.000
-1.890 3.274 0.000
0.000 0.000 18.777
! Space-group type: No. 156

Which structure is most stable? model i, by 0.080 eV/atom over the runner-up.

Model i:
! MgTiCu4S4 PBE optimized geometry; values from VASP
&SYSTEM
  ibrav = 0, nat = 10, ntyp = 4
/
ATOMIC_SPECIES
Mg 24.30 Mg.upf
Ti 47.87 Ti.upf
Cu 63.55 Cu.upf
S 32.06 S.upf
ATOMIC_POSITIONS crystal
Mg 0.000 0.000 0.000
Ti 0.600 0.600 0.747
Cu 0.078 0.559 0.689
Cu 0.370 0.370 0.242
Cu 0.559 0.078 0.689
Cu 0.830 0.830 0.236
S 0.224 0.224 0.468
S 0.393 0.932 0.919
S 0.689 0.689 0.455
S 0.932 0.393 0.919
CELL_PARAMETERS angstrom
4.090 -3.996 0.000
4.090 3.996 0.000
-3.391 0.000 5.480
! Space-group type: No. 8

Model ii:
! MgTiCu4S4 PBE optimized geometry; values from VASP
&SYSTEM
  ibrav = 0, nat = 10, ntyp = 4
/
ATOMIC_SPECIES
Mg 24.30 Mg.upf
Ti 47.87 Ti.upf
Cu 63.55 Cu.upf
S 32.06 S.upf
ATOMIC_POSITIONS crystal
Mg 0.000 0.000 0.000
Ti 0.500 0.500 0.000
Cu 0.000 0.500 0.500
Cu 0.248 0.248 0.000
Cu 0.500 0.000 0.500
Cu 0.752 0.752 0.000
S 0.124 0.615 0.000
S 0.385 0.385 0.508
S 0.615 0.124 0.000
S 0.876 0.876 0.492
CELL_PARAMETERS angstrom
-2.760 2.760 5.613
2.760 -2.760 5.613
2.760 2.760 -5.613
! Space-group type: No. 121

Which structure is most stable? model i, by 0.008 eV/atom over the runner-up.

Model i:
! Mg14CuSb PBE optimized geometry; values from VASP
&SYSTEM
  ibrav = 0, nat = 16, ntyp = 3
/
ATOMIC_SPECIES
Mg 24.30 Mg.upf
Cu 63.55 Cu.upf
Sb 121.76 Sb.upf
ATOMIC_POSITIONS crystal
Mg 0.000 0.000 0.250
Mg 0.000 0.000 0.750
Mg 0.004 0.502 0.239
Mg 0.004 0.502 0.761
Mg 0.331 0.166 0.000
Mg 0.334 0.167 0.500
Mg 0.498 0.502 0.239
Mg 0.498 0.502 0.761
Mg 0.498 0.996 0.239
Mg 0.498 0.996 0.761
Mg 0.833 0.167 0.500
Mg 0.833 0.666 0.500
Mg 0.834 0.166 0.000
Mg 0.834 0.669 0.000
Cu 0.333 0.667 0.000
Sb 0.333 0.667 0.500
CELL_PARAMETERS angstrom
6.277 0.000 0.000
-3.138 5.436 0.000
0.000 0.000 10.305
! Space-group type: No. 187

Model ii:
! Mg14CuSb PBE optimized geometry; values from VASP
&SYSTEM
  ibrav = 0, nat = 16, ntyp = 3
/
ATOMIC_SPECIES
Mg 24.30 Mg.upf
Cu 63.55 Cu.upf
Sb 121.76 Sb.upf
ATOMIC_POSITIONS crystal
Mg 0.000 0.000 0.000
Mg 0.000 0.001 0.500
Mg 0.000 0.500 0.001
Mg 0.000 0.500 0.500
Mg 0.247 0.168 0.168
Mg 0.254 0.173 0.662
Mg 0.254 0.662 0.173
Mg 0.254 0.665 0.665
Mg 0.500 0.500 0.999
Mg 0.500 0.999 0.500
Mg 0.746 0.173 0.662
Mg 0.746 0.662 0.173
Mg 0.746 0.665 0.665
Mg 0.753 0.168 0.168
Cu 0.500 0.501 0.501
Sb 0.500 0.001 0.001
CELL_PARAMETERS angstrom
10.295 0.000 0.000
0.000 3.138 5.435
0.000 -3.138 5.435
! Space-group type: No. 38

Which structure is most stable? model i, by 0.007 eV/atom over the runner-up.

Model i:
! YMgCu PBE optimized geometry; values from VASP
&SYSTEM
  ibrav = 0, nat = 3, ntyp = 3
/
ATOMIC_SPECIES
Y 88.91 Y.upf
Mg 24.30 Mg.upf
Cu 63.55 Cu.upf
ATOMIC_POSITIONS crystal
Y 0.000 0.000 0.000
Mg 0.750 0.750 0.750
Cu 0.250 0.250 0.250
CELL_PARAMETERS angstrom
0.000 3.393 3.393
3.393 0.000 3.393
3.393 3.393 0.000
! Space-group type: No. 216

Model ii:
! YMgCu PBE optimized geometry; values from VASP
&SYSTEM
  ibrav = 0, nat = 9, ntyp = 3
/
ATOMIC_SPECIES
Y 88.91 Y.upf
Mg 24.30 Mg.upf
Cu 63.55 Cu.upf
ATOMIC_POSITIONS crystal
Y 0.000 0.586 0.000
Y 0.414 0.414 0.000
Y 0.586 0.000 0.000
Mg 0.000 0.243 0.500
Mg 0.243 0.000 0.500
Mg 0.757 0.757 0.500
Cu 0.000 0.000 0.000
Cu 0.333 0.667 0.500
Cu 0.667 0.333 0.500
CELL_PARAMETERS angstrom
7.501 0.000 0.000
-3.751 6.496 0.000
0.000 0.000 3.960
! Space-group type: No. 189

Which structure is most stable? model ii, by 0.749 eV/atom over the runner-up.

Model i:
! CuN PBE optimized geometry; values from VASP
&SYSTEM
  ibrav = 0, nat = 4, ntyp = 2
/
ATOMIC_SPECIES
Cu 63.55 Cu.upf
N 14.01 N.upf
ATOMIC_POSITIONS crystal
Cu 0.117 0.117 0.339
Cu 0.883 0.883 0.661
N 0.474 0.474 0.900
N 0.526 0.526 0.100
CELL_PARAMETERS angstrom
2.626 -1.416 0.000
2.626 1.416 0.000
-1.452 0.000 5.931
! Space-group type: No. 12

Model ii:
! CuN PBE optimized geometry; values from VASP
&SYSTEM
  ibrav = 0, nat = 2, ntyp = 2
/
ATOMIC_SPECIES
Cu 63.55 Cu.upf
N 14.01 N.upf
ATOMIC_POSITIONS crystal
Cu 0.000 0.000 0.000
N 0.750 0.750 0.750
CELL_PARAMETERS angstrom
0.000 2.216 2.216
2.216 0.000 2.216
2.216 2.216 0.000
! Space-group type: No. 216

Which structure is most stable? model i, by 0.590 eV/atom over the runner-up.

Model i:
! Cu11PdN4 PBE optimized geometry; values from VASP
&SYSTEM
  ibrav = 0, nat = 16, ntyp = 3
/
ATOMIC_SPECIES
Cu 63.55 Cu.upf
Pd 106.42 Pd.upf
N 14.01 N.upf
ATOMIC_POSITIONS crystal
Cu 0.000 0.000 0.000
Cu 0.000 0.257 0.500
Cu 0.000 0.500 0.000
Cu 0.000 0.743 0.500
Cu 0.251 0.251 0.000
Cu 0.251 0.749 0.000
Cu 0.257 0.000 0.500
Cu 0.500 0.000 0.000
Cu 0.743 0.000 0.500
Cu 0.749 0.251 0.000
Cu 0.749 0.749 0.000
Pd 0.500 0.500 0.000
N 0.000 0.000 0.500
N 0.000 0.500 0.500
N 0.500 0.000 0.500
N 0.500 0.500 0.500
CELL_PARAMETERS angstrom
7.457 0.000 0.000
0.000 7.457 0.000
0.000 0.000 3.746
! Space-group type: No. 123

Model ii:
! Cu11PdN4 PBE optimized geometry; values from VASP
&SYSTEM
  ibrav = 0, nat = 32, ntyp = 3
/
ATOMIC_SPECIES
Cu 63.55 Cu.upf
Pd 106.42 Pd.upf
N 14.01 N.upf
ATOMIC_POSITIONS crystal
Cu 0.000 0.000 0.231
Cu 0.000 0.000 0.769
Cu 0.000 0.254 0.500
Cu 0.000 0.746 0.500
Cu 0.237 0.500 0.000
Cu 0.244 0.500 0.500
Cu 0.245 0.245 0.244
Cu 0.245 0.245 0.756
Cu 0.245 0.755 0.244
Cu 0.245 0.755 0.756
Cu 0.254 0.000 0.500
Cu 0.500 0.237 0.000
Cu 0.500 0.244 0.500
Cu 0.500 0.756 0.500
Cu 0.500 0.763 0.000
Cu 0.746 0.000 0.500
Cu 0.755 0.245 0.244
Cu 0.755 0.245 0.756
Cu 0.755 0.755 0.244
Cu 0.755 0.755 0.756
Cu 0.756 0.500 0.500
Cu 0.763 0.500 0.000
Pd 0.500 0.500 0.249
Pd 0.500 0.500 0.751
N 0.000 0.000 0.000
N 0.000 0.000 0.500
N 0.000 0.500 0.000
N 0.000 0.500 0.500
N 0.500 0.000 0.000
N 0.500 0.000 0.500
N 0.500 0.500 0.000
N 0.500 0.500 0.500
CELL_PARAMETERS angstrom
7.412 0.000 0.000
0.000 7.412 0.000
0.000 0.000 7.796
! Space-group type: No. 123

Model iii:
! Cu11PdN4 PBE optimized geometry; values from VASP
&SYSTEM
  ibrav = 0, nat = 16, ntyp = 3
/
ATOMIC_SPECIES
Cu 63.55 Cu.upf
Pd 106.42 Pd.upf
N 14.01 N.upf
ATOMIC_POSITIONS crystal
Cu 0.000 0.000 0.000
Cu 0.000 0.250 0.500
Cu 0.000 0.500 0.000
Cu 0.000 0.750 0.500
Cu 0.249 0.500 0.500
Cu 0.250 0.000 0.500
Cu 0.500 0.000 0.000
Cu 0.500 0.249 0.500
Cu 0.500 0.751 0.500
Cu 0.750 0.000 0.500
Cu 0.751 0.500 0.500
Pd 0.500 0.500 0.000
N 0.000 0.000 0.500
N 0.000 0.500 0.500
N 0.500 0.000 0.500
N 0.500 0.500 0.500
CELL_PARAMETERS angstrom
7.610 0.000 0.000
0.000 7.610 0.000
0.000 0.000 3.920
! Space-group type: No. 123

Which structure is most stable? model iii, by 0.223 eV/atom over the runner-up.

Model i:
! TaCuN2 PBE optimized geometry; values from VASP
&SYSTEM
  ibrav = 0, nat = 4, ntyp = 3
/
ATOMIC_SPECIES
Ta 180.95 Ta.upf
Cu 63.55 Cu.upf
N 14.01 N.upf
ATOMIC_POSITIONS crystal
Ta 0.000 0.000 0.000
Cu 0.500 0.500 0.500
N 0.262 0.262 0.262
N 0.738 0.738 0.738
CELL_PARAMETERS angstrom
1.577 0.911 5.035
-1.577 0.911 5.035
0.000 -1.821 5.035
! Space-group type: No. 166

Model ii:
! TaCuN2 PBE optimized geometry; values from VASP
&SYSTEM
  ibrav = 0, nat = 4, ntyp = 3
/
ATOMIC_SPECIES
Ta 180.95 Ta.upf
Cu 63.55 Cu.upf
N 14.01 N.upf
ATOMIC_POSITIONS crystal
Ta 0.000 0.000 0.000
Cu 0.500 0.500 0.500
N 0.394 0.394 0.394
N 0.606 0.606 0.606
CELL_PARAMETERS angstrom
1.577 0.910 5.848
-1.577 0.910 5.848
0.000 -1.821 5.848
! Space-group type: No. 166

Which structure is most stable? model ii, by 0.259 eV/atom over the runner-up.